[1]
Compound: Ce5Mg
Source: Materials Project
Functional: PBE
Structure: relaxed

Cell lengths 5.9330, 9.0749, 9.0749 Å; angles 21.66, 90.00, 90.00 degrees
Fractional positions:
Ce 0.0000 0.0000 0.0000
Ce 0.0000 0.3231 0.3231
Ce 0.0000 0.6621 0.6621
Ce 0.5000 0.5355 0.5355
Ce 0.5000 0.8836 0.8836
Mg 0.5000 0.2129 0.2129

Space-group type: Amm2
Density in g/cm3: 6.7
Offset from the most stable computed form in eV/atom: 0.0600

***

[2]
Compound: BaCuO2
Source: Materials Project
Functional: PBE
Structure: relaxed

Cell lengths 8.5624, 8.5624, 4.0957 Å; angles 90.00, 90.00, 152.84 degrees
Fractional positions:
Ba 0.1636 0.8364 0.7500
Ba 0.8364 0.1636 0.2500
Cu 0.4384 0.5616 0.7500
Cu 0.5616 0.4384 0.2500
O 0.3243 0.6757 0.7500
O 0.4482 0.5518 0.2500
O 0.5518 0.4482 0.7500
O 0.6757 0.3243 0.2500

Space-group type: Cmcm
Density in g/cm3: 5.6

***

[3]
Compound: Nd3Ag
Source: Materials Project
Functional: PBE
Structure: relaxed

Cell lengths 7.1157, 7.1157, 5.4357 Å; angles 90.00, 90.00, 120.00 degrees
Fractional positions:
Nd 0.1751 0.3503 0.2500
Nd 0.1751 0.8249 0.2500
Nd 0.3503 0.1751 0.7500
Nd 0.6497 0.8249 0.2500
Nd 0.8249 0.1751 0.7500
Nd 0.8249 0.6497 0.7500
Ag 0.3333 0.6667 0.7500
Ag 0.6667 0.3333 0.2500

Space-group type: P6_3/mmc
Density in g/cm3: 7.5

***

[4]
Compound: BaTi2TlO6
Source: Materials Project
Functional: PBE
Structure: relaxed

Cell lengths 3.4163, 3.4544, 26.8974 Å; angles 93.45, 91.35, 90.10 degrees
Fractional positions:
Ba 0.0000 0.0000 0.0000
Ba 0.3688 0.3239 0.6586
Ti 0.4414 0.5611 0.1259
Ti 0.7308 0.5984 0.2318
Ti 0.7521 0.7188 0.4182
Ti 0.7928 0.7705 0.5368
Tl 0.4623 0.4408 0.8799
Tl 0.9223 0.8867 0.7763
O 0.0047 0.5424 0.0856
O 0.2192 0.5887 0.1988
O 0.2579 0.7317 0.4481
O 0.2983 0.7864 0.5714
O 0.4228 0.3888 0.7813
O 0.4953 0.4839 0.9661
O 0.5997 0.0678 0.1416
O 0.7242 0.1115 0.2601
O 0.7481 0.2053 0.3892
O 0.7783 0.2586 0.5116
O 0.8783 0.8388 0.6906
O 0.9598 0.9363 0.8707

Space-group type: P1
Density in g/cm3: 5.6

***

Computed raw total energy, in the same sequence as the records: -30.4 -22.5 -17.1 -71.9 eV per formula unit.
Computed DFT formation energy, in the same sequence as the records: 0.137 -1.992 0.018 -2.625 eV per atom.